MgCo2Ge4O12: optimized geometry, PBE with a Hubbard U.

Cell lengths 5.511, 6.727, 6.891 Å; angles 80.15, 73.14, 73.50 degrees
Space group P1 (No. 1)
Asymmetric unit:
Mg 0.000 0.000 0.000 [1 per cell]
Co 0.495 0.816 0.182 [1 per cell]
Co 0.984 0.624 0.374 [1 per cell]
Ge 0.012 0.536 0.882 [1 per cell]
Ge 0.496 0.352 0.080 [1 per cell]
Ge 0.503 0.913 0.657 [1 per cell]
Ge 0.984 0.108 0.473 [1 per cell]
O 0.026 0.350 0.344 [1 per cell]
O 0.092 0.928 0.285 [1 per cell]
O 0.155 0.041 0.667 [1 per cell]
O 0.340 0.407 0.879 [1 per cell]
O 0.399 0.548 0.248 [1 per cell]
O 0.402 0.848 0.920 [1 per cell]
O 0.572 0.082 0.155 [1 per cell]
O 0.607 0.754 0.452 [1 per cell]
O 0.653 0.124 0.597 [1 per cell]
O 0.845 0.330 0.960 [1 per cell]
O 0.894 0.715 0.072 [1 per cell]
O 0.957 0.671 0.654 [1 per cell]

Summary:
ΔE_f: -1920 meV per atom
E_tot: -118.65 eV per formula unit